Crystalline MgFe4P4O16 at its relaxed geometry. Source: Materials Project, functional PBE+U.

abc: 10.467 6.781 5.250
angles: 88.59 94.21 94.54
Fractional coordinates of all 25 atoms:
O1 0.685 0.144 0.209
O2 0.621 0.777 0.131
O3 0.827 0.607 0.828
O4 0.669 0.909 0.574
O5 0.326 0.452 0.381
O6 0.528 0.508 0.676
O7 0.874 0.267 0.700
O8 0.464 0.992 0.314
O9 0.062 0.519 0.813
O10 0.330 0.684 0.755
O11 0.948 0.964 0.281
O12 0.140 0.767 0.275
O13 0.940 0.385 0.157
O14 0.165 0.148 0.239
O15 0.062 0.948 0.868
O16 0.333 0.313 0.832
P1 0.922 0.446 0.864
P2 0.378 0.491 0.663
P3 0.605 0.954 0.303
P4 0.079 0.958 0.158
Fe1 0.362 0.198 0.174
Fe2 0.855 0.177 0.361
Fe3 0.160 0.782 0.671
Fe4 0.658 0.693 0.808
Mg1 0.152 0.466 0.180

Calculated values
Crystal system: triclinic
Theoretical density, g/cm3: 2.814
DFT formation energy, eV per atom: -2.3715
Space-group type: P1 (1)


Crystalline Li9Mn2Co5O16 at its relaxed geometry. Source: Materials Project, functional PBE+U.

abc: 6.523 6.679 7.763
angles: 74.24 65.22 71.29
Fractional coordinates of all 32 atoms:
Li1 0.375 0.627 0.877
Li2 0.443 0.056 0.686
Li3 0.319 0.186 0.057
Li4 0.189 0.322 0.439
Li5 0.558 0.939 0.312
Li6 0.943 0.563 0.182
Li7 0.800 0.686 0.573
Li8 0.063 0.438 0.815
Li9 0.687 0.810 0.934
Co1 0.874 0.129 0.378
Co2 0.626 0.377 0.121
Co3 0.131 0.868 0.631
Co4 0.743 0.260 0.753
Co5 0.500 0.504 0.507
O1 0.453 0.784 0.590
O2 0.568 0.659 0.234
O3 0.716 0.511 0.859
O4 0.675 0.091 0.025
O5 0.954 0.262 0.092
O6 0.840 0.398 0.471
O7 0.204 0.015 0.339
O8 0.028 0.740 0.910
O9 0.296 0.484 0.165
O10 0.927 0.847 0.264
O11 0.798 0.976 0.647
O12 0.162 0.608 0.519
O13 0.318 0.903 0.988
O14 0.081 0.143 0.735
O15 0.554 0.231 0.387
O16 0.425 0.343 0.763
Mn1 0.999 0.994 0.998
Mn2 0.251 0.746 0.248

Calculated values
Crystal system: triclinic
Theoretical density, g/cm3: 4.181
DFT formation energy, eV per atom: -1.7669
Space-group type: P1 (1)


Crystalline MnZnAs2O7 at its relaxed geometry. Source: Materials Project, functional PBE+U.

abc: 8.868 7.418 9.767
angles: 65.28 90.00 90.00
Fractional coordinates of all 44 atoms:
O1 0.588 0.528 0.388
O2 0.102 0.052 0.108
O3 0.087 0.960 0.676
O4 0.587 0.040 0.824
O5 0.412 0.472 0.612
O6 0.413 0.960 0.176
O7 0.913 0.040 0.324
O8 0.855 0.755 0.583
O9 0.398 0.052 0.608
O10 0.610 0.635 0.788
O11 0.731 0.370 0.201
O12 0.912 0.528 0.888
O13 0.735 0.142 0.044
O14 0.765 0.142 0.544
O15 0.265 0.858 0.956
O16 0.269 0.630 0.799
O17 0.602 0.948 0.392
O18 0.088 0.472 0.112
O19 0.355 0.245 0.917
O20 0.145 0.245 0.417
O21 0.110 0.365 0.712
O22 0.390 0.365 0.212
O23 0.890 0.635 0.288
O24 0.235 0.858 0.456
O25 0.645 0.755 0.083
O26 0.231 0.630 0.299
O27 0.769 0.370 0.701
O28 0.898 0.948 0.892
Zn1 0.921 0.279 0.107
Zn2 0.579 0.279 0.607
Zn3 0.421 0.721 0.393
Zn4 0.079 0.721 0.893
As1 0.272 0.015 0.043
As2 0.772 0.985 0.457
As3 0.722 0.565 0.251
As4 0.278 0.435 0.749
As5 0.728 0.985 0.957
As6 0.228 0.015 0.543
As7 0.222 0.435 0.249
As8 0.778 0.565 0.751
Mn1 0.449 0.809 0.824
Mn2 0.949 0.191 0.676
Mn3 0.551 0.191 0.176
Mn4 0.051 0.809 0.324

Calculated values
Crystal system: monoclinic
Theoretical density, g/cm3: 4.349
DFT formation energy, eV per atom: -1.8041
Space-group type: P2_1/c (14)


Crystalline MgFe8O8F8 at its relaxed geometry. Source: Materials Project, functional PBE+U.

abc: 9.860 9.878 3.153
angles: 90.00 90.00 82.77
Fractional coordinates of all 25 atoms:
F1 0.411 0.371 0.000
F2 0.824 0.860 0.000
F3 0.328 0.839 0.000
F4 0.582 0.153 0.000
F5 0.588 0.883 0.500
F6 0.380 0.099 0.500
F7 0.855 0.111 0.500
F8 0.432 0.608 0.500
Fe1 0.132 0.222 0.500
Fe2 0.551 0.522 0.000
Fe3 0.220 0.740 0.500
Fe4 0.992 0.978 0.000
Fe5 0.762 0.728 0.500
Fe6 0.816 0.313 0.500
Fe7 0.476 0.974 0.000
Fe8 0.035 0.517 0.000
O1 0.627 0.400 0.500
O2 0.172 0.647 0.000
O3 0.121 0.414 0.500
O4 0.924 0.613 0.500
O5 0.102 0.118 0.000
O6 0.066 0.885 0.500
O7 0.670 0.653 0.000
O8 0.889 0.371 0.000
Mg1 0.489 0.259 0.500

Calculated values
Crystal system: monoclinic
Theoretical density, g/cm3: 4.093
DFT formation energy, eV per atom: -2.1075
Space-group type: Pm (6)


Crystalline BaPrMgMn2O6 at its relaxed geometry. Source: Materials Project, functional PBE+U.

abc: 3.951 3.951 10.198
angles: 79.62 79.62 89.85
Fractional coordinates of all 11 atoms:
Mn1 0.580 0.580 0.750
Mn2 0.341 0.341 0.201
O1 0.310 0.811 0.266
O2 0.418 0.418 0.992
O3 0.065 0.570 0.777
O4 0.811 0.310 0.266
O5 0.683 0.683 0.529
O6 0.570 0.065 0.777
Mg1 0.781 0.781 0.325
Ba1 0.175 0.175 0.544
Pr1 0.016 0.016 0.932

Calculated values
Crystal system: monoclinic
Theoretical density, g/cm3: 5.484
DFT formation energy, eV per atom: -2.6907
Space-group type: Cm (8)


Crystalline Mn7Pb3O15 at its relaxed geometry. Source: Materials Project, functional PBE+U.

abc: 10.280 13.935 17.765
angles: 90.00 90.00 90.00
Fractional coordinates of all 200 atoms:
O1 0.350 0.432 0.828
O2 0.917 0.582 0.750
O3 0.561 0.415 0.250
O4 0.434 0.580 0.916
O5 0.683 0.235 0.337
O6 0.827 0.080 0.506
O7 0.317 0.765 0.663
O8 0.825 0.077 0.834
O9 0.605 0.744 0.426
O10 0.066 0.080 0.584
O11 0.846 0.757 0.010
O12 0.833 0.414 0.170
O13 0.159 0.577 0.010
O14 0.325 0.423 0.166
O15 0.183 0.265 0.663
O16 0.183 0.265 0.837
O17 0.150 0.932 0.672
O18 0.662 0.936 0.669
O19 0.850 0.068 0.172
O20 0.078 0.423 0.082
O21 0.605 0.744 0.074
O22 0.922 0.577 0.918
O23 0.579 0.073 0.084
O24 0.908 0.936 0.750
O25 0.167 0.586 0.830
O26 0.654 0.257 0.010
O27 0.934 0.920 0.084
O28 0.167 0.586 0.670
O29 0.650 0.568 0.172
O30 0.421 0.937 0.750
O31 0.841 0.423 0.990
O32 0.395 0.256 0.574
O33 0.079 0.427 0.916
O34 0.422 0.923 0.418
O35 0.593 0.430 0.589
O36 0.667 0.914 0.330
O37 0.317 0.765 0.837
O38 0.162 0.564 0.331
O39 0.675 0.577 0.834
O40 0.592 0.436 0.750
O41 0.079 0.437 0.750
O42 0.838 0.436 0.669
O43 0.895 0.244 0.426
O44 0.338 0.064 0.169
O45 0.921 0.573 0.416
O46 0.850 0.068 0.328
O47 0.105 0.756 0.574
O48 0.333 0.086 0.830
O49 0.162 0.564 0.169
O50 0.846 0.757 0.490
O51 0.327 0.420 0.494
O52 0.154 0.243 0.990
O53 0.593 0.430 0.911
O54 0.061 0.085 0.750
O55 0.838 0.436 0.831
O56 0.327 0.420 0.006
O57 0.078 0.423 0.418
O58 0.939 0.915 0.250
O59 0.921 0.573 0.084
O60 0.079 0.427 0.584
O61 0.583 0.082 0.750
O62 0.325 0.423 0.334
O63 0.654 0.257 0.490
O64 0.566 0.420 0.084
O65 0.921 0.563 0.250
O66 0.683 0.235 0.163
O67 0.407 0.570 0.089
O68 0.408 0.564 0.250
O69 0.421 0.927 0.584
O70 0.083 0.418 0.250
O71 0.922 0.577 0.582
O72 0.093 0.070 0.089
O73 0.173 0.920 0.006
O74 0.673 0.580 0.994
O75 0.092 0.064 0.250
O76 0.579 0.073 0.416
O77 0.407 0.570 0.411
O78 0.833 0.414 0.330
O79 0.817 0.735 0.337
O80 0.093 0.070 0.411
O81 0.346 0.743 0.990
O82 0.659 0.923 0.510
O83 0.673 0.580 0.506
O84 0.895 0.244 0.074
O85 0.066 0.080 0.916
O86 0.346 0.743 0.510
O87 0.817 0.735 0.163
O88 0.934 0.920 0.416
O89 0.667 0.914 0.170
O90 0.659 0.923 0.990
O91 0.422 0.923 0.082
O92 0.333 0.086 0.670
O93 0.578 0.077 0.582
O94 0.907 0.930 0.911
O95 0.662 0.936 0.831
O96 0.350 0.432 0.672
O97 0.395 0.256 0.926
O98 0.341 0.077 0.490
O99 0.439 0.585 0.750
O100 0.173 0.920 0.494
O101 0.434 0.580 0.584
O102 0.105 0.756 0.926
O103 0.827 0.080 0.994
O104 0.578 0.077 0.918
O105 0.841 0.423 0.510
O106 0.154 0.243 0.510
O107 0.421 0.927 0.916
O108 0.175 0.923 0.166
O109 0.175 0.923 0.334
O110 0.675 0.577 0.666
O111 0.650 0.568 0.328
O112 0.150 0.932 0.828
O113 0.907 0.930 0.589
O114 0.566 0.420 0.416
O115 0.341 0.077 0.010
O116 0.159 0.577 0.490
O117 0.825 0.077 0.666
O118 0.338 0.064 0.331
O119 0.417 0.918 0.250
O120 0.579 0.063 0.250
Mn1 0.492 0.009 0.666
Mn2 0.756 0.508 0.750
Mn3 0.244 0.150 0.918
Mn4 0.256 0.650 0.582
Mn5 0.240 0.009 0.750
Mn6 0.500 0.000 0.000
Mn7 0.506 0.507 0.833
Mn8 0.508 0.991 0.166
Mn9 0.744 0.008 0.750
Mn10 0.992 0.491 0.334
Mn11 0.252 0.857 0.583
Mn12 0.244 0.497 0.083
Mn13 0.000 0.000 0.000
Mn14 0.256 0.997 0.417
Mn15 0.008 0.509 0.834
Mn16 0.748 0.143 0.083
Mn17 0.494 0.493 0.167
Mn18 0.740 0.491 0.250
Mn19 0.506 0.507 0.667
Mn20 0.756 0.503 0.583
Mn21 0.508 0.991 0.334
Mn22 0.744 0.003 0.583
Mn23 0.000 0.000 0.500
Mn24 0.744 0.003 0.917
Mn25 0.500 0.000 0.500
Mn26 0.756 0.503 0.917
Mn27 0.760 0.991 0.250
Mn28 0.494 0.493 0.333
Mn29 0.492 0.009 0.834
Mn30 0.252 0.857 0.917
Mn31 0.260 0.509 0.750
Mn32 0.248 0.357 0.917
Mn33 0.256 0.650 0.918
Mn34 0.756 0.850 0.418
Mn35 0.756 0.850 0.082
Mn36 0.248 0.357 0.583
Mn37 0.244 0.492 0.250
Mn38 0.006 0.993 0.333
Mn39 0.000 0.500 0.500
Mn40 0.006 0.993 0.167
Mn41 0.244 0.497 0.417
Mn42 0.244 0.150 0.582
Mn43 0.744 0.350 0.418
Mn44 0.256 0.997 0.083
Mn45 0.752 0.643 0.083
Mn46 0.752 0.643 0.417
Mn47 0.744 0.350 0.082
Mn48 0.256 0.992 0.250
Mn49 0.008 0.509 0.666
Mn50 0.000 0.500 0.000
Mn51 0.994 0.007 0.833
Mn52 0.994 0.007 0.667
Mn53 0.992 0.491 0.166
Mn54 0.500 0.500 0.500
Mn55 0.748 0.143 0.417
Mn56 0.500 0.500 0.000
Pb1 0.891 0.757 0.616
Pb2 0.356 0.260 0.750
Pb3 0.985 0.733 0.250
Pb4 0.391 0.743 0.116
Pb5 0.559 0.748 0.555
Pb6 0.059 0.752 0.445
Pb7 0.891 0.757 0.884
Pb8 0.144 0.760 0.750
Pb9 0.109 0.243 0.384
Pb10 0.485 0.767 0.750
Pb11 0.856 0.240 0.250
Pb12 0.391 0.743 0.384
Pb13 0.609 0.257 0.884
Pb14 0.559 0.748 0.945
Pb15 0.941 0.248 0.945
Pb16 0.059 0.752 0.055
Pb17 0.441 0.252 0.445
Pb18 0.109 0.243 0.116
Pb19 0.015 0.267 0.750
Pb20 0.441 0.252 0.055
Pb21 0.609 0.257 0.616
Pb22 0.515 0.233 0.250
Pb23 0.644 0.740 0.250
Pb24 0.941 0.248 0.555

Calculated values
Crystal system: orthorhombic
Theoretical density, g/cm3: 6.505
DFT formation energy, eV per atom: -1.8247
Space-group type: Pnma (62)


Crystalline MnAsO5 at its relaxed geometry. Source: Materials Project, functional PBE+U.

abc: 6.697 7.306 15.488
angles: 90.00 90.00 96.45
Fractional coordinates of all 56 atoms:
O1 0.309 0.242 0.838
O2 0.883 0.311 0.459
O3 0.616 0.183 0.963
O4 0.566 0.115 0.367
O5 0.691 0.758 0.338
O6 0.011 0.748 0.341
O7 0.380 0.021 0.693
O8 0.060 0.452 0.304
O9 0.442 0.821 0.042
O10 0.572 0.264 0.145
O11 0.873 0.912 0.051
O12 0.308 0.402 0.452
O13 0.882 0.377 0.633
O14 0.117 0.689 0.959
O15 0.811 0.034 0.666
O16 0.623 0.457 0.335
O17 0.876 0.912 0.868
O18 0.377 0.543 0.835
O19 0.764 0.733 0.665
O20 0.645 0.556 0.510
O21 0.681 0.604 0.137
O22 0.428 0.736 0.645
O23 0.124 0.088 0.368
O24 0.558 0.179 0.542
O25 0.692 0.598 0.952
O26 0.620 0.979 0.193
O27 0.355 0.444 0.010
O28 0.434 0.885 0.867
O29 0.319 0.396 0.637
O30 0.384 0.817 0.463
O31 0.118 0.623 0.133
O32 0.942 0.325 0.033
O33 0.989 0.252 0.841
O34 0.127 0.088 0.551
O35 0.189 0.966 0.166
O36 0.058 0.675 0.533
O37 0.940 0.548 0.804
O38 0.236 0.267 0.165
O39 0.203 0.063 0.991
O40 0.797 0.937 0.491
Mn1 0.604 0.342 0.432
Mn2 0.909 0.108 0.952
Mn3 0.396 0.658 0.932
Mn4 0.158 0.852 0.069
Mn5 0.091 0.892 0.452
Mn6 0.352 0.600 0.551
Mn7 0.842 0.148 0.569
Mn8 0.648 0.400 0.051
As1 0.902 0.684 0.888
As2 0.345 0.172 0.614
As3 0.605 0.907 0.412
As4 0.098 0.316 0.388
As5 0.840 0.586 0.588
As6 0.160 0.414 0.088
As7 0.395 0.093 0.912
As8 0.655 0.828 0.114

Calculated values
Crystal system: monoclinic
Theoretical density, g/cm3: 3.702
DFT formation energy, eV per atom: -1.2909
Space-group type: P2_1 (4)